# 1
The following is a GGA+U calculation of Li5Co8O16 after structural relaxation, from the Materials Project database.

Cell lengths 9.984, 5.655, 9.762 Å; angles 89.91, 85.47, 81.99 degrees
Fractional coordinates of all 58 atoms:
Li 0.743 0.061 0.532
Li 0.745 0.056 0.006
Li 0.255 0.187 0.733
Li 0.254 0.415 0.993
Li 0.750 0.310 0.273
Li 0.744 0.571 0.004
Li 0.250 0.686 0.229
Li 0.256 0.686 0.733
Li 0.748 0.566 0.534
Li 0.259 0.954 0.464
Co 0.007 0.998 0.000
Co 0.001 0.003 0.498
Co 0.006 0.250 0.250
Co 0.501 0.124 0.874
Co 0.500 0.125 0.376
Co 0.995 0.253 0.752
Co 0.499 0.375 0.127
Co 0.007 0.498 0.499
Co 0.999 0.502 0.999
Co 0.498 0.375 0.624
Co 0.993 0.752 0.249
Co 0.992 0.750 0.751
Co 0.500 0.625 0.874
Co 0.503 0.624 0.376
Co 0.497 0.875 0.127
Co 0.501 0.874 0.625
O 0.897 0.033 0.345
O 0.602 0.101 0.198
O 0.396 0.143 0.551
O 0.104 0.217 0.411
O 0.402 0.150 0.050
O 0.103 0.228 0.909
O 0.598 0.099 0.697
O 0.901 0.023 0.846
O 0.103 0.483 0.156
O 0.607 0.346 0.451
O 0.402 0.403 0.298
O 0.100 0.481 0.666
O 0.899 0.275 0.588
O 0.393 0.401 0.801
O 0.603 0.350 0.954
O 0.897 0.273 0.090
O 0.397 0.647 0.053
O 0.102 0.722 0.904
O 0.102 0.735 0.405
O 0.598 0.601 0.698
O 0.896 0.527 0.843
O 0.602 0.597 0.197
O 0.900 0.518 0.344
O 0.398 0.658 0.550
O 0.098 0.971 0.157
O 0.896 0.780 0.084
O 0.399 0.895 0.300
O 0.102 0.973 0.660
O 0.601 0.849 0.955
O 0.604 0.850 0.455
O 0.899 0.777 0.588
O 0.397 0.900 0.797

Computed properties:
SG   P1
E above lowest polymorph   0 meV per atom

# 2
The following is a GGA+U calculation of Ho2Hf2Mo7O28 after structural relaxation, from the Materials Project database.

Cell lengths 11.621, 11.621, 13.981 Å; angles 69.06, 69.06, 50.63 degrees
Fractional coordinates of all 78 atoms:
Ho 0.149 0.124 0.064
Ho 0.851 0.876 0.936
Ho 0.876 0.851 0.436
Ho 0.124 0.149 0.564
Hf 0.421 0.349 0.187
Hf 0.579 0.651 0.813
Hf 0.651 0.579 0.313
Hf 0.349 0.421 0.687
Mo 0.499 0.988 0.173
Mo 0.501 0.012 0.827
Mo 0.012 0.501 0.327
Mo 0.988 0.499 0.673
Mo 0.457 0.227 0.477
Mo 0.543 0.773 0.523
Mo 0.773 0.543 0.023
Mo 0.227 0.457 0.977
Mo 0.813 0.066 0.147
Mo 0.187 0.934 0.853
Mo 0.934 0.187 0.353
Mo 0.066 0.813 0.647
Mo 0.295 0.705 0.250
Mo 0.705 0.295 0.750
O 0.488 0.125 0.218
O 0.512 0.875 0.782
O 0.875 0.512 0.282
O 0.125 0.488 0.718
O 0.644 0.070 0.495
O 0.356 0.930 0.505
O 0.930 0.356 0.005
O 0.070 0.644 0.995
O 0.316 0.060 0.165
O 0.684 0.940 0.835
O 0.940 0.684 0.335
O 0.060 0.316 0.665
O 0.935 0.024 0.398
O 0.065 0.976 0.602
O 0.976 0.065 0.102
O 0.024 0.935 0.898
O 0.798 0.996 0.284
O 0.202 0.004 0.716
O 0.004 0.202 0.216
O 0.996 0.798 0.784
O 0.576 0.806 0.261
O 0.424 0.194 0.739
O 0.194 0.424 0.239
O 0.806 0.576 0.761
O 0.667 0.830 0.470
O 0.333 0.170 0.530
O 0.170 0.333 0.030
O 0.830 0.667 0.970
O 0.830 0.946 0.083
O 0.170 0.054 0.917
O 0.054 0.170 0.417
O 0.946 0.830 0.583
O 0.613 0.960 0.048
O 0.387 0.040 0.952
O 0.040 0.387 0.452
O 0.960 0.613 0.548
O 0.375 0.390 0.043
O 0.625 0.610 0.957
O 0.610 0.625 0.457
O 0.390 0.375 0.543
O 0.259 0.869 0.157
O 0.741 0.131 0.843
O 0.131 0.741 0.343
O 0.869 0.259 0.657
O 0.439 0.639 0.320
O 0.561 0.361 0.680
O 0.361 0.561 0.180
O 0.639 0.439 0.820
O 0.643 0.264 0.125
O 0.357 0.736 0.875
O 0.736 0.357 0.375
O 0.264 0.643 0.625
O 0.449 0.303 0.339
O 0.551 0.697 0.661
O 0.697 0.551 0.161
O 0.303 0.449 0.839

Computed properties:
SG   C2/c

| no. | formation enthalpy at 0 K (eV per atom) | total DFT energy (no corrections) (Ry per atom) |
| --- | --- | --- |
| 1 | -1.55 | -0.4217 |
| 2 | -2.59 | -0.5706 |